DFT (PBE with a Hubbard U) results for a geometry-optimized LiFeSiO4 structure.

abc: 13.9347 13.9347 9.3198
angles: 90.00 90.00 120.00
Space group R3 (No. 146, hexagonal axes)
Symmetry-distinct sites (fractional):
1 Li 0.0163 0.8100 0.0000 [9 per cell]
2 Li 0.1430 0.4548 0.1641 [9 per cell]
3 Fe 0.0191 0.8041 0.3320 [9 per cell]
4 Fe 0.1388 0.4574 0.4984 [9 per cell]
5 Si 0.0133 0.8030 0.6663 [9 per cell]
6 Si 0.1373 0.4546 0.8330 [9 per cell]
7 O 0.0035 0.6799 0.6667 [9 per cell]
8 O 0.0137 0.3422 0.8339 [9 per cell]
9 O 0.0739 0.8696 0.5166 [9 per cell]
10 O 0.0801 0.8743 0.8090 [9 per cell]
11 O 0.1042 0.8897 0.1748 [9 per cell]
12 O 0.2023 0.4633 0.6813 [9 per cell]
13 O 0.2094 0.4543 0.9732 [9 per cell]
14 O 0.2177 0.1035 0.6730 [9 per cell]

Computed properties:
Total energy after the MP2020 corrections   -7.62 eV/atom
Energy above the most stable polymorph in this dataset   0 meV/atom
VASP energy   -6.91 eV per atom